Entry 1:
An optimized crystal structure of CaHf8N8O4, computed with PBE-GGA.

Unit cell a=5.4482 b=5.6150 c=11.5112 alpha=102.57 beta=76.29 gamma=60.69
Closest atoms and distances in Å follow each position.
Atoms (fractional coordinates):
Hf (0.4759, 0.7096, 0.4655)  2 O 2.07-2.24, 2 N 2.12-2.23
N (0.7969, 0.9167, 0.1222)  3 Hf 2.10-2.24
N (0.9830, 0.1854, 0.6280)  3 Hf 2.04-2.18
Hf (0.2539, 0.2148, 0.2961)  2 N 2.07-2.11, 1 O 2.18
N (0.4031, 0.7773, 0.8669)  4 Hf 2.15-2.29
N (0.6974, 0.1119, 0.8761)  3 Hf 2.02-2.18
Hf (0.5580, 0.9384, 0.0014)  4 N 2.02-2.16, 1 O 2.18
N (0.5047, 0.0259, 0.4025)  4 Hf 2.10-2.30
Hf (0.2663, 0.5539, 0.9685)  2 O 2.12-2.29, 4 N 2.15-2.31
N (0.2632, 0.6046, 0.6328)  3 Hf 2.03-2.15
O (0.0281, 0.4676, 0.8631)  3 Hf 2.12-2.32
O (0.3544, 0.7859, 0.1264)  3 Hf 2.18-2.29, 1 Ca 2.33
Hf (0.9550, 0.8159, 0.2673)  4 N 2.10-2.24, 2 O 2.22-2.29
N (0.2089, 0.3607, 0.1223)  2 Hf 2.02-2.19
Hf (0.8599, 0.6093, 0.7074)  2 N 2.04-2.15, 1 O 2.07
N (0.8684, 0.2366, 0.3944)  4 Hf 2.07-2.24
O (0.3070, 0.5800, 0.3408)  3 Hf 2.07-2.22
Hf (0.1122, 0.0197, 0.7735)  4 N 2.02-2.20, 1 O 2.26
O (0.6087, 0.8645, 0.6206)  3 Hf 2.07-2.24
Hf (0.6515, 0.1853, 0.5570)  3 N 2.03-2.15, 1 O 2.18
Ca (0.7457, 0.3761, 0.1423)  2 O 2.33-2.42, 2 N 2.41-2.44

## Properties
DFT formation energy in eV/f.u.: -45.475
M_tot in μB per cell: 0.0
ΔE to the lowest computed polymorph in eV per formula unit: 0.404

---

Entry 2:
An optimized crystal structure of CaTeO4, computed with PBE-GGA.

Unit cell a=5.0711 b=5.3078 c=12.8229 alpha=90.00 beta=90.00 gamma=90.00
Closest atoms and distances in Å follow each position.
Atoms (fractional coordinates):
O (0.4285, 0.7969, 0.9559)  2 Te 1.99-2.05
Ca (0.7500, 0.5000, 0.1697)  6 O 2.38-2.43
Te (0.2500, 0.5000, 0.5723)  6 O 1.87-2.05
Te (0.2500, 0.0000, 0.0723)  6 O 1.87-2.05
O (0.0715, 0.2969, 0.4559)  2 Te 1.99-2.05
O (0.5715, 0.2969, 0.5441)  2 Te 1.99-2.05
Te (0.7500, 0.5000, 0.4277)  6 O 1.87-2.05
O (0.9285, 0.7031, 0.5441)  2 Te 1.99-2.05
O (0.9285, 0.7969, 0.0441)  2 Te 1.99-2.05
O (0.5715, 0.2031, 0.0441)  2 Te 1.99-2.05
O (0.0715, 0.2031, 0.9559)  2 Te 1.99-2.05
Ca (0.2500, 0.5000, 0.8303)  6 O 2.38-2.43
O (0.1156, 0.2192, 0.1737)  1 Te 1.87
O (0.3844, 0.7192, 0.6737)  1 Te 1.87
O (0.8844, 0.7808, 0.8263)  1 Te 1.87
O (0.3844, 0.7808, 0.1737)  1 Te 1.87
Ca (0.7500, 0.0000, 0.6697)  6 O 2.38-2.43
O (0.6156, 0.2192, 0.8263)  1 Te 1.87
O (0.8844, 0.7192, 0.3263)  1 Te 1.87
O (0.1156, 0.2808, 0.6737)  1 Te 1.87
Ca (0.2500, 0.0000, 0.3303)  6 O 2.38-2.43
Te (0.7500, 0.0000, 0.9277)  6 O 1.87-2.05
O (0.6156, 0.2808, 0.3263)  1 Te 1.87
O (0.4285, 0.7031, 0.4559)  2 Te 1.99-2.05

## Properties
DFT formation energy in eV/f.u.: -13.619